Entry 1:
A relaxed structure of LiNiPO4. Source: the Materials Project database, functional PBE+U.

ΔE_f in eV/atom: -2.306
Crystal system: monoclinic
Total energy in eV per atom: -6.2493
V in A^3/atom: 10.54

a b c (Å): 5.6198 10.5537 9.9560
angles (deg): 90.00 91.77 90.00
Last column: nearest neighbours and their distance in Å.
Space group P2_1/c (No. 14)
Symmetry-distinct sites (fractional):
1 Li 0.1113 0.1633 0.3584 x4  5 O 2.10-2.34
2 Li 0.3719 0.6416 0.1129 x4  2 O 2.06-2.10
3 Ni 0.1538 0.6233 0.5143 x4  5 O 2.01-2.07
4 Ni 0.3801 0.0927 0.7685 x4  4 O 1.94-2.04
5 P 0.1233 0.6085 0.8387 x4  4 O 1.56-1.57
6 P 0.3751 0.1457 0.0907 x4  4 O 1.53-1.57
7 O 0.0943 0.0167 0.6668 x4  1 P 1.56
8 O 0.1105 0.6925 0.9675 x4  1 P 1.56
9 O 0.1266 0.6927 0.7082 x4  1 P 1.57
10 O 0.1528 0.0587 0.0759 x4  1 P 1.55
11 O 0.3350 0.2333 0.2100 x4  1 P 1.53
12 O 0.3558 0.5269 0.8497 x4  1 P 1.57
13 O 0.3954 0.5662 0.3759 x4  1 P 1.57
14 O 0.4175 0.2140 0.9552 x4  1 P 1.55

Entry 2:
A relaxed structure of Li3NiP2O8. Source: the Materials Project database, functional PBE+U.

ΔE_f in eV/atom: -2.393
Crystal system: monoclinic
Total energy in eV per atom: -6.2413
V in A^3/atom: 10.03

a b c (Å): 4.9518 17.9826 7.8576
angles (deg): 90.00 126.59 90.00
Last column: nearest neighbours and their distance in Å.
Space group P2_1/c (No. 14)
Symmetry-distinct sites (fractional):
1 Li 0.0185 0.0580 0.2333 x4  4 O 2.00-2.23
2 Li 0.2742 0.1151 0.9999 x4  5 O 2.08-2.14
3 Li 0.3748 0.7007 0.6888 x4  4 O 2.02-2.11
4 Ni 0.1719 0.6273 0.9744 x4  6 O 2.03-2.14
5 P 0.1219 0.2162 0.2998 x4  4 O 1.54-1.57
6 P 0.4788 0.5332 0.7652 x4  4 O 1.54-1.56
7 O 0.0336 0.1724 0.1044 x4  1 P 1.54
8 O 0.1622 0.7016 0.1747 x4  1 P 1.56
9 O 0.1704 0.5606 0.7558 x4  1 P 1.56
10 O 0.1706 0.1990 0.7795 x4  1 P 1.57
11 O 0.1885 0.0659 0.5416 x4  1 P 1.54
12 O 0.4185 0.5580 0.5560 x4  1 P 1.55
13 O 0.4645 0.1897 0.5021 x4  1 P 1.55
14 O 0.4799 0.0532 0.2755 x4  1 P 1.56

Entry 3:
A relaxed structure of LiNiPO4. Source: the Materials Project database, functional PBE+U.

ΔE_f in eV/atom: -2.314
Crystal system: trigonal
Total energy in eV per atom: -6.2575
V in A^3/atom: 10.66

a b c (Å): 7.3918 7.3918 9.4653
angles (deg): 90.00 90.00 120.00
Last column: nearest neighbours and their distance in Å.
Space group P31c (No. 159)
Symmetry-distinct sites (fractional):
1 Li 0.0501 0.2588 0.0000 x6  4 O 1.93-2.03
2 Ni 0.0625 0.5923 0.2244 x6  5 O 1.98-2.19
3 P 0.0000 0.0000 0.2496 x2  4 O 1.54-1.56
4 P 0.3333 0.6667 0.5252 x2  4 O 1.54-1.60
5 P 0.3333 0.6667 0.9206 x2  4 O 1.54-1.62
6 O 0.0000 0.0000 0.4121 x2  1 P 1.54
7 O 0.1019 0.8748 0.1904 x6  1 P 1.56
8 O 0.1112 0.5052 0.5735 x6  1 P 1.54
9 O 0.1581 0.7078 0.8721 x6  1 P 1.54
10 O 0.3333 0.6667 0.0914 x2  1 P 1.62
11 O 0.3333 0.6667 0.3559 x2  1 P 1.60

- Among the records above, which one has the lowest V?
  Li3NiP2O8

- Among the records above, which one has the highest V?
  number 3

- total energy of number 2 (Li3NiP2O8)?
  -6.2413 eV per atom

- Which formula does entry 1 have?
  LiNiPO4